! Pm2ZnGa (r2SCAN, relaxed); values from VASP
! ρ = 7.2 g cm⁻³
! E_form = -518 meV per atom
&SYSTEM
  ibrav = 0, nat = 4, ntyp = 3
/
ATOMIC_SPECIES
Pm 145.00 Pm.upf
Zn 65.41 Zn.upf
Ga 69.72 Ga.upf
CELL_PARAMETERS angstrom
0.0000 3.6545 3.6545
3.6545 0.0000 3.6545
3.6545 3.6545 0.0000
ATOMIC_POSITIONS crystal
Pm 0.0000 0.0000 0.0000
Zn 0.7500 0.7500 0.7500
Ga 0.2500 0.2500 0.2500
Pm 0.5000 0.5000 0.5000

---

! Pm2ZnGe (r2SCAN, relaxed); values from VASP
! ρ = 7.4 g cm⁻³
! E_form = -587 meV per atom
&SYSTEM
  ibrav = 0, nat = 4, ntyp = 3
/
ATOMIC_SPECIES
Zn 65.41 Zn.upf
Ge 72.64 Ge.upf
Pm 145.00 Pm.upf
CELL_PARAMETERS angstrom
3.3765 -3.7734 0.8769
-1.4833 -4.2507 2.4778
-0.4005 -4.4483 -2.5418
ATOMIC_POSITIONS crystal
Zn 0.7500 0.7500 0.7500
Ge 0.2500 0.2500 0.2500
Pm 0.0000 0.0000 0.0000
Pm 0.5000 0.5000 0.5000